No. 1
! GGA+U Na2GaNiF7, relaxed; values from VASP
! calculated formation energy: -2.83 eV per atom
! volume: 12.8 Å³/atom
! total moment: 0.182 μB per atom
! energy with MP2020 corrections: -112.00 eV per cell
! DFT total energy: -4.566 eV/atom
&SYSTEM
  ibrav = 0, nat = 22, ntyp = 4
/
ATOMIC_SPECIES
Na 22.99 Na.upf
Ga 69.72 Ga.upf
Ni 58.69 Ni.upf
F 19.00 F.upf
CELL_PARAMETERS angstrom
-3.616 5.175 3.761
3.616 -5.175 3.761
3.616 5.175 -3.761
ATOMIC_POSITIONS crystal
Na 0.000 0.000 0.000
Na 0.500 0.000 0.000
Na 0.500 0.000 0.500
Na 0.500 0.500 0.500
Ga 0.000 0.500 0.500
Ga 0.500 0.500 0.000
Ni 0.000 0.000 0.500
Ni 0.000 0.500 0.000
F 0.052 0.240 0.419
F 0.052 0.633 0.812
F 0.109 0.859 0.250
F 0.316 0.727 0.589
F 0.321 0.240 0.688
F 0.321 0.633 0.081
F 0.361 0.273 0.089
F 0.639 0.727 0.911
F 0.679 0.367 0.919
F 0.679 0.760 0.312
F 0.684 0.273 0.411
F 0.891 0.141 0.750
F 0.948 0.367 0.188
F 0.948 0.760 0.581

---

No. 2
! GGA+U GdMoO4F, relaxed; values from VASP
! calculated formation energy: -2.96 eV per atom
! volume: 15.0 Å³/atom
! total moment: 1.000 μB per atom
! energy with MP2020 corrections: -269.53 eV per cell
! DFT total energy: -8.710 eV/atom
&SYSTEM
  ibrav = 0, nat = 28, ntyp = 4
/
ATOMIC_SPECIES
Gd 157.25 Gd.upf
Mo 95.94 Mo.upf
O 16.00 O.upf
F 19.00 F.upf
CELL_PARAMETERS angstrom
5.323 0.000 0.000
0.000 12.569 0.000
-2.661 0.000 6.280
ATOMIC_POSITIONS crystal
Gd 0.139 0.052 0.299
Gd 0.139 0.448 0.799
Gd 0.861 0.552 0.201
Gd 0.861 0.948 0.701
Mo 0.422 0.143 0.870
Mo 0.422 0.357 0.370
Mo 0.578 0.643 0.630
Mo 0.578 0.857 0.130
O 0.194 0.066 0.961
O 0.194 0.434 0.461
O 0.264 0.653 0.411
O 0.264 0.847 0.911
O 0.307 0.225 0.294
O 0.307 0.275 0.794
O 0.494 0.069 0.664
O 0.494 0.431 0.164
O 0.506 0.569 0.836
O 0.506 0.931 0.336
O 0.693 0.725 0.206
O 0.693 0.775 0.706
O 0.736 0.153 0.089
O 0.736 0.347 0.589
O 0.806 0.566 0.539
O 0.806 0.934 0.039
F 0.049 0.598 0.965
F 0.049 0.902 0.465
F 0.951 0.098 0.535
F 0.951 0.402 0.035